1.
VASP calculation (GGA-PBE) on a relaxed structure of DyAu6.

**Calculated volume**: 19.6 Å³ per atom
**Raw total energy**: -216.94 eV/cell

Cell: 10.5140 10.5140 9.9355 Å, 90.00 90.00 90.00°
Space group P4_2/ncm (No. 138, origin choice 2)
One atom of each set of equivalent atoms:
Dy: 0.0755 0.0755 0.2119
Au: 0.0000 0.0000 0.5000
Au: 0.0130 0.6799 0.5793
Au: 0.1228 0.7000 0.8551
Au: 0.1472 0.1472 0.6794
Au: 0.2500 0.2500 0.4324

=====

2.
VASP calculation (GGA-PBE) on a relaxed structure of Dy2InAu2.

**Calculated volume**: 23.8 Å³ per atom
**Raw total energy**: -45.19 eV/cell

Cell: 7.9800 7.9800 3.7377 Å, 90.00 90.00 90.00°
Space group P4/mbm (No. 127)
One atom of each set of equivalent atoms:
Dy: 0.1693 0.3307 0.0000
In: 0.0000 0.0000 0.5000
Au: 0.1287 0.6287 0.5000